Record 1
Material: Co2AgN3
Method: DFT, PBE
State: optimized geometry Values from VASP.

```
&SYSTEM
  ibrav = 0, nat = 18, ntyp = 3
/
ATOMIC_SPECIES
Co 58.93 Co.upf
Ag 107.87 Ag.upf
N 14.01 N.upf
CELL_PARAMETERS angstrom
2.843 0.000 0.000
-1.422 2.462 0.000
0.000 0.000 26.004
ATOMIC_POSITIONS angstrom
Co 0.929 0.071 3.032
Co 1.019 1.623 20.368
Co 2.318 0.769 11.700
Co 0.896 1.694 5.636
Co -0.403 0.840 22.972
Co -0.493 2.392 14.304
Ag -0.466 0.808 17.336
Ag 0.933 0.000 8.668
Ag 0.955 1.654 0.000
N -0.396 0.686 4.334
N 0.792 0.000 21.670
N 1.025 1.776 13.002
N -0.498 2.444 10.830
N 0.944 1.672 2.162
N -0.446 0.809 19.498
N 0.976 1.654 23.842
N 2.366 0.790 15.174
N 0.923 0.018 6.506
```

SG: P3_121, No. 152
Size of the total moment, μB/atom: 0.001
V, Å³/cell: 182
Total energy after the MP2020 corrections, eV per atom: -6.637

=====

Record 2
Material: Ba6Tl2NCl
Method: DFT, PBE
State: optimized geometry Values from VASP.

```
&SYSTEM
  ibrav = 0, nat = 10, ntyp = 4
/
ATOMIC_SPECIES
Ba 137.33 Ba.upf
Tl 204.38 Tl.upf
N 14.01 N.upf
Cl 35.45 Cl.upf
CELL_PARAMETERS angstrom
0.000 5.864 5.864
5.864 0.000 5.864
5.864 5.864 0.000
ATOMIC_POSITIONS angstrom
Ba 8.590 5.864 5.864
Ba 5.864 3.138 5.864
Ba 5.864 8.590 5.864
Ba 5.864 5.864 8.590
Ba 5.864 5.864 3.138
Ba 3.138 5.864 5.864
Tl 2.932 2.932 2.932
Tl 8.796 8.796 8.796
N 5.864 5.864 5.864
Cl 0.000 0.000 0.000
```

SG: Fm-3m, No. 225
Size of the total moment, μB/atom: 0.189
V, Å³/cell: 403
Total energy after the MP2020 corrections, eV per atom: -3.357

=====

Record 3
Material: Ca2Si
Method: DFT, PBE
State: optimized geometry Values from VASP.

```
&SYSTEM
  ibrav = 0, nat = 12, ntyp = 2
/
ATOMIC_SPECIES
Ca 40.08 Ca.upf
Si 28.09 Si.upf
CELL_PARAMETERS angstrom
-2.552 1.957 -3.590
-2.833 -6.855 -1.723
-6.897 1.423 5.680
ATOMIC_POSITIONS angstrom
Ca -3.406 -0.800 -2.868
Ca -8.877 -2.675 3.235
Ca -7.249 -3.726 -1.731
Ca -5.033 0.252 2.098
Ca -1.919 0.606 0.077
Ca -10.363 -4.080 0.290
Ca -4.335 -2.616 0.038
Ca -7.948 -0.859 0.329
Si -6.947 -3.807 1.246
Si -5.336 0.332 -0.879
Si -7.522 0.032 3.747
Si -4.760 -3.506 -3.381
```

SG: Pnma, No. 62
V, Å³/cell: 332
Total energy after the MP2020 corrections, eV per atom: -3.580

=====

Record 4
Material: MnBi2Te4
Method: DFT, PBE
State: optimized geometry Values from VASP.

```
&SYSTEM
  ibrav = 0, nat = 7, ntyp = 3
/
ATOMIC_SPECIES
Mn 54.94 Mn.upf
Bi 208.98 Bi.upf
Te 127.60 Te.upf
CELL_PARAMETERS angstrom
0.347 2.181 -3.761
0.347 -2.181 -3.761
-13.352 0.000 -3.761
ATOMIC_POSITIONS angstrom
Mn 0.000 0.000 0.000
Bi -3.204 0.000 -5.353
Bi -9.454 0.000 -5.930
Te -4.724 0.000 -8.022
Te -7.934 0.000 -3.261
Te -11.368 0.000 -8.636
Te -1.289 0.000 -2.648
```

SG: R-3m, No. 166
Size of the total moment, μB/atom: 0.714
V, Å³/cell: 225
Total energy after the MP2020 corrections, eV per atom: -4.642